The following is a PBE calculation of a relaxed structure of K2NaGdCl6, from the Materials Project database.

Its space group is Fm-3m (225). For the formation energy, the calculation gives -2.42 eV per atom.

Lattice parameters (Å, degrees): 7.6279 7.6279 7.6279 60.00 60.00 60.00
Fractional coordinates of all 10 atoms:
Cl 0.2463 0.7537 0.2463
Cl 0.7537 0.2463 0.7537
K 0.7500 0.7500 0.7500
Gd 0.0000 0.0000 0.0000
Cl 0.7537 0.2463 0.2463
K 0.2500 0.2500 0.2500
Cl 0.7537 0.7537 0.2463
Cl 0.2463 0.2463 0.7537
Na 0.5000 0.5000 0.5000
Cl 0.2463 0.7537 0.7537